# 1
# LiCa2Mn2Si5HO15 (meta-GGA r2SCAN, relaxed)
data_LiCa2Mn2Si5HO15
_chemical_formula_sum 'Li2 Ca4 Mn4 Si10 H2 O30'
_space_group_name_H-M_alt 'P -1'
_space_group_IT_number 2
_space_group_name_Hall '-P 1'
_cell_length_a 6.8309
_cell_length_b 7.6808
_cell_length_c 11.7386
_cell_angle_alpha 106.10
_cell_angle_beta 91.98
_cell_angle_gamma 94.58
loop_
_atom_site_label
_atom_site_type_symbol
_atom_site_fract_x
_atom_site_fract_y
_atom_site_fract_z
Li1 Li 0.1783 0.3594 0.3901
Ca1 Ca 0.2164 0.7650 0.9769
Ca2 Ca 0.3604 0.1902 0.5596
Mn1 Mn 0.3198 0.9568 0.2638
Mn2 Mn 0.4404 0.4069 0.8534
Si1 Si 0.0757 0.5358 0.1795
Si2 Si 0.1496 0.7189 0.4486
Si3 Si 0.2044 0.0020 0.7817
Si4 Si 0.2836 0.1929 0.0500
Si5 Si 0.3924 0.6570 0.6542
H1 H 0.0163 0.0800 0.3790
O1 O 0.0041 0.9966 0.2904
O2 O 0.0471 0.2146 0.4886
O3 O 0.0890 0.5580 0.3239
O4 O 0.1175 0.3182 0.1213
O5 O 0.1402 0.4558 0.8741
O6 O 0.1626 0.0694 0.9227
O7 O 0.2464 0.6743 0.1523
O8 O 0.2545 0.5981 0.5271
O9 O 0.2623 0.7906 0.7558
O10 O 0.3065 0.8785 0.4342
O11 O 0.3379 0.0395 0.1102
O12 O 0.3773 0.1240 0.7433
O13 O 0.4108 0.2298 0.3697
O14 O 0.4326 0.4777 0.6907
O15 O 0.4641 0.3235 0.0257
# ΔE_f = -2.85 eV/atom
# ρ = 3.26 Mg/m³
# raw total energy = -9.88 eV per atom


# 2
# Ca4Mg3H14 (meta-GGA r2SCAN, relaxed)
data_Ca4Mg3H14
_chemical_formula_sum 'Ca4 Mg3 H14'
_space_group_name_H-M_alt 'P -6 2 m'
_space_group_IT_number 189
_space_group_name_Hall 'P -6 -2'
_cell_length_a 6.2073
_cell_length_b 6.2073
_cell_length_c 6.8701
_cell_angle_alpha 90.00
_cell_angle_beta 90.00
_cell_angle_gamma 120.00
loop_
_atom_site_label
_atom_site_type_symbol
_atom_site_fract_x
_atom_site_fract_y
_atom_site_fract_z
Ca1 Ca 0.0000 0.0000 0.2331
Ca2 Ca 0.3333 0.6667 0.0000
Mg1 Mg 0.0000 0.5590 0.5000
H1 H 0.0000 0.2313 0.5000
H2 H 0.0000 0.2630 0.0000
H3 H 0.0000 0.6122 0.2250
H4 H 0.3333 0.6667 0.5000
# ΔE_f = -0.49 eV/atom
# ρ = 1.79 Mg/m³
# raw total energy = -4.73 eV per atom


# 3
# Ca2Mg5Si8H2O24 (meta-GGA r2SCAN, relaxed)
data_Ca2Mg5Si8H2O24
_chemical_formula_sum 'Ca4 Mg10 Si16 H4 O48'
_space_group_name_H-M_alt 'C 1 2/m 1'
_space_group_IT_number 12
_space_group_name_Hall '-C 2y'
_cell_length_a 9.8532
_cell_length_b 18.0289
_cell_length_c 5.2798
_cell_angle_alpha 90.00
_cell_angle_beta 104.72
_cell_angle_gamma 90.00
loop_
_atom_site_label
_atom_site_type_symbol
_atom_site_fract_x
_atom_site_fract_y
_atom_site_fract_z
Ca1 Ca 0.0000 0.2218 0.0000
Mg1 Mg 0.0000 0.3234 0.5000
Mg2 Mg 0.0000 0.4120 0.0000
Mg3 Mg 0.0000 0.5000 0.5000
Si1 Si 0.2121 0.1716 0.6961
Si2 Si 0.2204 0.0843 0.2039
H1 H 0.2114 0.5000 0.2664
O1 O 0.1104 0.5000 0.2155
O2 O 0.1112 0.4139 0.7173
O3 O 0.1183 0.3285 0.2239
O4 O 0.1348 0.2485 0.7080
O5 O 0.1541 0.1348 0.4004
O6 O 0.1568 0.1186 0.9108
O7 O 0.1635 0.0000 0.2100
# ΔE_f = -3.01 eV/atom
# ρ = 2.97 Mg/m³
# raw total energy = -9.24 eV per atom


Q: Look up the ΔE_f of the third one.
A: -3.01 eV/atom


Q: What is the ΔE_f in the second record?
A: -0.49 eV/atom